No. 1
Cu12As4S13: relaxed, r²SCAN.

Summary:
Calculated formation energy: -0.278 eV/atom
Calculated volume: 521.6 Å³/f.u.

Unit cell a=8.7828 b=8.7828 c=8.7828 alpha=109.47 beta=109.47 gamma=109.47
Last column: nearest neighbours and their distance in Å.
Fractional positions:
S: 0.2402 0.0000 0.4803  3 Cu 2.22-2.29, 1 As 2.28
S: 0.4803 0.0000 0.2402  3 Cu 2.22-2.29, 1 As 2.28
S: 0.4803 0.2402 0.0000  3 Cu 2.22-2.29, 1 As 2.28
S: 0.5197 0.5197 0.7599  3 Cu 2.22-2.29, 1 As 2.28
S: 0.0000 0.0000 0.0000  6 Cu 2.25
S: 0.7600 0.5197 0.5197  3 Cu 2.22-2.29, 1 As 2.28
S: 0.0000 0.2402 0.4803  3 Cu 2.22-2.29, 1 As 2.28
S: 0.7598 0.7597 0.2400  3 Cu 2.22-2.29, 1 As 2.28
S: 0.5197 0.7600 0.5197  3 Cu 2.22-2.29, 1 As 2.28
S: 0.0000 0.4803 0.2403  3 Cu 2.22-2.29, 1 As 2.28
S: 0.7598 0.2401 0.7598  3 Cu 2.22-2.29, 1 As 2.28
S: 0.2400 0.7598 0.7598  3 Cu 2.22-2.29, 1 As 2.28
S: 0.2402 0.4803 0.0000  3 Cu 2.22-2.29, 1 As 2.28
Cu: 0.5000 0.2500 0.7500  4 S 2.29
Cu: 0.5000 0.7500 0.2500  4 S 2.29
Cu: 0.7780 0.7780 0.0000  3 S 2.22-2.25
Cu: 0.7780 0.0000 0.7780  3 S 2.22-2.25
Cu: 0.7500 0.2500 0.5000  4 S 2.29
Cu: 0.7500 0.5000 0.2500  4 S 2.29
Cu: 0.0000 0.7780 0.7780  3 S 2.22-2.25
Cu: 0.0000 0.2220 0.2220  3 S 2.22-2.25
Cu: 0.2220 0.0000 0.2220  3 S 2.22-2.25
Cu: 0.2500 0.5000 0.7500  4 S 2.29
Cu: 0.2500 0.7500 0.5000  4 S 2.29
Cu: 0.2220 0.2220 0.0000  3 S 2.22-2.25
As: 0.0000 0.9999 0.5272  3 S 2.28
As: 0.4727 0.4728 0.4727  3 S 2.28
As: 0.0000 0.5273 0.0000  3 S 2.28
As: 0.5273 0.0000 0.0000  3 S 2.28

No. 2
Sm2Cu3As3: relaxed, r²SCAN.

Summary:
Calculated formation energy: -0.905 eV/atom
Calculated volume: 150.2 Å³/f.u.

Unit cell a=4.0391 b=11.1118 c=13.3855 alpha=90.00 beta=90.00 gamma=90.00
Last column: nearest neighbours and their distance in Å.
Fractional positions:
As: 0.2500 0.4419 0.8663  2 Cu 2.47-2.55
As: 0.7500 0.1002 0.9039  6 Cu 2.44-2.62
As: 0.2500 0.6002 0.5961  6 Cu 2.44-2.62
As: 0.2500 0.2370 0.6459  4 Cu 2.49-2.51
As: 0.7500 0.7370 0.8541  4 Cu 2.49-2.51
As: 0.7500 0.5581 0.1337  2 Cu 2.47-2.55
As: 0.2500 0.0581 0.3663  2 Cu 2.47-2.55
As: 0.7500 0.7630 0.3541  4 Cu 2.49-2.51
As: 0.7500 0.9419 0.6337  2 Cu 2.47-2.55
As: 0.2500 0.8998 0.0961  6 Cu 2.44-2.62
As: 0.2500 0.2630 0.1459  4 Cu 2.49-2.51
As: 0.7500 0.3998 0.4039  6 Cu 2.44-2.62
Cu: 0.2500 0.6433 0.7750  4 As 2.44-2.55, 2 Cu 2.64
Cu: 0.7500 0.7769 0.1668  4 As 2.47-2.62, 3 Cu 2.64-2.73
Cu: 0.2500 0.3936 0.5128  4 As 2.49-2.55, 1 Cu 2.73
Cu: 0.7500 0.7231 0.6668  4 As 2.47-2.62, 3 Cu 2.64-2.73
Cu: 0.7500 0.8936 0.9872  4 As 2.49-2.55, 1 Cu 2.73
Cu: 0.7500 0.3567 0.2250  4 As 2.44-2.55, 2 Cu 2.64
Cu: 0.2500 0.2231 0.8332  4 As 2.47-2.62, 3 Cu 2.64-2.73
Cu: 0.7500 0.6064 0.4872  4 As 2.49-2.55, 1 Cu 2.73
Cu: 0.7500 0.1433 0.7250  4 As 2.44-2.55, 2 Cu 2.64
Cu: 0.2500 0.2769 0.3332  4 As 2.47-2.62, 3 Cu 2.64-2.73
Cu: 0.2500 0.1064 0.0128  4 As 2.49-2.55, 1 Cu 2.73
Cu: 0.2500 0.8567 0.2750  4 As 2.44-2.55, 2 Cu 2.64
Sm: 0.2500 0.5682 0.2960  6 As 2.97-3.11, 6 Cu 3.22-3.29
Sm: 0.7500 0.0682 0.2040  6 As 2.97-3.11, 6 Cu 3.22-3.29
Sm: 0.7500 0.1581 0.4975  6 As 2.90-3.02, 1 Cu 3.05
Sm: 0.2500 0.6581 0.0025  6 As 2.90-3.02, 1 Cu 3.05
Sm: 0.2500 0.8419 0.5025  6 As 2.90-3.02, 1 Cu 3.05
Sm: 0.7500 0.4318 0.7040  6 As 2.97-3.11, 6 Cu 3.22-3.29
Sm: 0.7500 0.3419 0.9975  6 As 2.90-3.02, 1 Cu 3.05
Sm: 0.2500 0.9318 0.7960  6 As 2.97-3.11, 6 Cu 3.22-3.29

No. 3
SrCu4As2: relaxed, r²SCAN.

Summary:
Calculated formation energy: -0.401 eV/atom
Calculated volume: 117.9 Å³/f.u.

Unit cell a=8.2375 b=8.2375 c=8.2375 alpha=29.23 beta=29.23 gamma=29.23
Last column: nearest neighbours and their distance in Å.
Fractional positions:
Sr: 0.0000 0.0000 0.0000  6 As 3.14, 8 Cu 3.43-3.49
Cu: 0.4408 0.4408 0.4408  3 As 2.45, 3 Cu 2.56
Cu: 0.1450 0.1450 0.1450  1 As 2.43, 6 Cu 2.56-2.61
Cu: 0.8550 0.8550 0.8550  1 As 2.43, 6 Cu 2.56-2.61
Cu: 0.5592 0.5592 0.5592  3 As 2.45, 3 Cu 2.56
As: 0.7524 0.7524 0.7524  4 Cu 2.43-2.45
As: 0.2476 0.2476 0.2476  4 Cu 2.43-2.45

No. 4
YCuAs2: relaxed, r²SCAN.

Summary:
Calculated formation energy: -0.931 eV/atom
Calculated volume: 74.8 Å³/f.u.

Unit cell a=3.8792 b=3.8792 c=9.9469 alpha=90.00 beta=90.00 gamma=90.00
Last column: nearest neighbours and their distance in Å.
Fractional positions:
As: 0.7500 0.2500 0.0000  4 As 2.74, 4 Y 3.05
As: 0.2500 0.7500 0.0000  4 As 2.74, 4 Y 3.05
As: 0.7500 0.7500 0.3425  4 Cu 2.49
As: 0.2500 0.2500 0.6575  4 Cu 2.49
Y: 0.2500 0.2500 0.2363  8 As 2.94-3.05, 4 Cu 3.26
Y: 0.7500 0.7500 0.7637  8 As 2.94-3.05, 4 Cu 3.26
Cu: 0.2500 0.7500 0.5000  4 As 2.49, 4 Cu 2.74
Cu: 0.7500 0.2500 0.5000  4 As 2.49, 4 Cu 2.74

Q: Among the records above, which one has the highest calculated volume?
A: Cu12As4S13

Q: Which formula does entry 2 have?
A: Sm2Cu3As3